Entry P
# MgMn4FeO8 | the Materials Project database | PBE with a Hubbard U | relaxed
data_MgMn4FeO8
_space_group_name_H-M_alt 'P 1'
_space_group_IT_number 1
_space_group_name_Hall 'P 1'
_cell_length_a 6.023
_cell_length_b 6.118
_cell_length_c 6.028
_cell_angle_alpha 87.92
_cell_angle_beta 59.67
_cell_angle_gamma 59.83
loop_
_atom_site_label
_atom_site_type_symbol
_atom_site_fract_x
_atom_site_fract_y
_atom_site_fract_z
_atom_site_occupancy
Mg1 Mg 0.500 0.500 0.500 1
Mn1 Mn 0.000 0.500 0.500 1
Mn2 Mn 0.000 0.000 0.000 1
Mn3 Mn 0.500 0.000 0.000 1
Mn4 Mn 0.000 0.500 0.000 1
Fe1 Fe 0.500 0.500 0.000 1
O1 O 0.450 0.301 0.797 1
O2 O 0.968 0.288 0.795 1
O3 O 0.497 0.728 0.763 1
O4 O 0.012 0.718 0.757 1
O5 O 0.988 0.282 0.243 1
O6 O 0.503 0.272 0.237 1
O7 O 0.032 0.712 0.205 1
O8 O 0.550 0.699 0.203 1
# Symmetry ... No. 2
# Magnetic moment ... 20.00 μB per cell


Entry Q
# MgMn4FeO8 | the Materials Project database | PBE with a Hubbard U | relaxed
data_MgMn4FeO8
_space_group_name_H-M_alt 'P 1'
_space_group_IT_number 1
_space_group_name_Hall 'P 1'
_cell_length_a 6.073
_cell_length_b 6.073
_cell_length_c 6.119
_cell_angle_alpha 88.53
_cell_angle_beta 59.70
_cell_angle_gamma 58.85
loop_
_atom_site_label
_atom_site_type_symbol
_atom_site_fract_x
_atom_site_fract_y
_atom_site_fract_z
_atom_site_occupancy
Mg1 Mg 0.500 0.000 0.500 1
Mn1 Mn 0.000 0.500 0.500 1
Mn2 Mn 0.000 0.000 0.000 1
Mn3 Mn 0.500 0.000 0.000 1
Mn4 Mn 0.000 0.500 0.000 1
Fe1 Fe 0.500 0.500 0.000 1
O1 O 0.464 0.257 0.793 1
O2 O 0.991 0.253 0.758 1
O3 O 0.494 0.749 0.758 1
O4 O 0.963 0.747 0.784 1
O5 O 0.037 0.253 0.216 1
O6 O 0.506 0.251 0.242 1
O7 O 0.009 0.747 0.242 1
O8 O 0.536 0.743 0.207 1
# Symmetry ... No. 12
# Magnetic moment ... 22.00 μB per cell


Entry R
# MgMn4FeO8 | the Materials Project database | PBE with a Hubbard U | relaxed
data_MgMn4FeO8
_space_group_name_H-M_alt 'P 1'
_space_group_IT_number 1
_space_group_name_Hall 'P 1'
_cell_length_a 6.173
_cell_length_b 6.169
_cell_length_c 6.279
_cell_angle_alpha 84.23
_cell_angle_beta 57.97
_cell_angle_gamma 55.74
loop_
_atom_site_label
_atom_site_type_symbol
_atom_site_fract_x
_atom_site_fract_y
_atom_site_fract_z
_atom_site_occupancy
Mg1 Mg 0.282 0.839 0.559 1
Mn1 Mn 0.994 0.494 0.501 1
Mn2 Mn 0.958 0.039 0.082 1
Mn3 Mn 0.516 0.002 0.983 1
Mn4 Mn 0.020 0.498 0.983 1
Fe1 Fe 0.497 0.494 0.998 1
O1 O 0.476 0.283 0.808 1
O2 O 0.975 0.240 0.783 1
O3 O 0.459 0.757 0.782 1
O4 O 0.986 0.734 0.749 1
O5 O 0.044 0.260 0.218 1
O6 O 0.505 0.253 0.228 1
O7 O 0.026 0.732 0.228 1
O8 O 0.545 0.717 0.174 1
# Symmetry ... No. 8
# Magnetic moment ... 16.00 μB per cell


entry Q has the most favorable energy; the next structure is 0.020 eV/atom above.


Entry P
# RbMgFeMo2O8 | the Materials Project database | PBE with a Hubbard U | relaxed
data_RbMgFeMo2O8
_space_group_name_H-M_alt 'P 1'
_space_group_IT_number 1
_space_group_name_Hall 'P 1'
_cell_length_a 5.544
_cell_length_b 5.544
_cell_length_c 7.456
_cell_angle_alpha 90.00
_cell_angle_beta 90.00
_cell_angle_gamma 120.00
loop_
_atom_site_label
_atom_site_type_symbol
_atom_site_fract_x
_atom_site_fract_y
_atom_site_fract_z
_atom_site_occupancy
Rb1 Rb 0.000 0.000 0.509 1
Mg1 Mg 0.667 0.333 0.227 1
Fe1 Fe 0.000 0.000 0.019 1
Mo1 Mo 0.667 0.333 0.749 1
Mo2 Mo 0.333 0.667 0.250 1
O1 O 0.306 0.305 0.160 1
O2 O 0.758 0.672 0.832 1
O3 O 0.333 0.667 0.489 1
O4 O 0.914 0.242 0.832 1
O5 O 0.667 0.333 0.504 1
O6 O 0.695 0.002 0.160 1
O7 O 0.328 0.086 0.832 1
O8 O 0.998 0.694 0.160 1
# Symmetry ... No. 143
# Magnetic moment ... 7.00 μB per cell


Entry Q
# RbMgFeMo2O8 | the Materials Project database | PBE with a Hubbard U | relaxed
data_RbMgFeMo2O8
_space_group_name_H-M_alt 'P 1'
_space_group_IT_number 1
_space_group_name_Hall 'P 1'
_cell_length_a 5.877
_cell_length_b 5.877
_cell_length_c 10.323
_cell_angle_alpha 90.00
_cell_angle_beta 90.00
_cell_angle_gamma 120.00
loop_
_atom_site_label
_atom_site_type_symbol
_atom_site_fract_x
_atom_site_fract_y
_atom_site_fract_z
_atom_site_occupancy
Rb1 Rb 0.000 0.000 0.624 1
Mg1 Mg 0.000 0.000 0.241 1
Fe1 Fe 0.000 0.000 0.972 1
Mo1 Mo 0.667 0.333 0.810 1
Mo2 Mo 0.333 0.667 0.174 1
O1 O 0.175 0.319 0.126 1
O2 O 0.793 0.668 0.863 1
O3 O 0.333 0.667 0.343 1
O4 O 0.875 0.207 0.863 1
O5 O 0.667 0.333 0.638 1
O6 O 0.681 0.856 0.126 1
O7 O 0.332 0.125 0.863 1
O8 O 0.144 0.825 0.126 1
# Symmetry ... No. 143
# Magnetic moment ... 5.00 μB per cell


entry P has the most favorable energy; the next structure is 0.074 eV/atom above.


Entry P
# NaMgFeO2 | the Materials Project database | PBE with a Hubbard U | relaxed
data_NaMgFeO2
_space_group_name_H-M_alt 'P 1'
_space_group_IT_number 1
_space_group_name_Hall 'P 1'
_cell_length_a 3.199
_cell_length_b 3.199
_cell_length_c 7.807
_cell_angle_alpha 87.56
_cell_angle_beta 87.56
_cell_angle_gamma 59.27
loop_
_atom_site_label
_atom_site_type_symbol
_atom_site_fract_x
_atom_site_fract_y
_atom_site_fract_z
_atom_site_occupancy
Na1 Na 0.526 0.526 0.411 1
Mg1 Mg 0.176 0.176 0.726 1
Fe1 Fe 0.892 0.892 0.092 1
O1 O 0.199 0.199 0.211 1
O2 O 0.852 0.852 0.631 1
# Symmetry ... No. 8
# Magnetic moment ... 3.68 μB per cell


Entry Q
# NaMgFeO2 | the Materials Project database | PBE with a Hubbard U | relaxed
data_NaMgFeO2
_space_group_name_H-M_alt 'P 1'
_space_group_IT_number 1
_space_group_name_Hall 'P 1'
_cell_length_a 3.204
_cell_length_b 3.204
_cell_length_c 8.356
_cell_angle_alpha 78.95
_cell_angle_beta 78.95
_cell_angle_gamma 60.00
loop_
_atom_site_label
_atom_site_type_symbol
_atom_site_fract_x
_atom_site_fract_y
_atom_site_fract_z
_atom_site_occupancy
Na1 Na 0.454 0.454 0.638 1
Mg1 Mg 0.590 0.590 0.231 1
Fe1 Fe 0.022 0.022 0.933 1
O1 O 0.291 0.291 0.128 1
O2 O 0.727 0.727 0.820 1
# Symmetry ... No. 160
# Magnetic moment ... 3.96 μB per cell


entry P has the most favorable energy; the next structure is 0.041 eV/atom above.


Entry P
# NaMgFeO2 | the Materials Project database | PBE with a Hubbard U | relaxed
data_NaMgFeO2
_space_group_name_H-M_alt 'P 1'
_space_group_IT_number 1
_space_group_name_Hall 'P 1'
_cell_length_a 5.397
_cell_length_b 4.088
_cell_length_c 7.329
_cell_angle_alpha 51.34
_cell_angle_beta 68.40
_cell_angle_gamma 48.69
loop_
_atom_site_label
_atom_site_type_symbol
_atom_site_fract_x
_atom_site_fract_y
_atom_site_fract_z
_atom_site_occupancy
Na1 Na 0.500 0.500 0.500 1
Mg1 Mg 0.000 0.500 0.500 1
Fe1 Fe 0.000 0.000 0.000 1
O1 O 0.194 0.336 0.275 1
O2 O 0.806 0.664 0.725 1
# Symmetry ... No. 12
# Magnetic moment ... 3.42 μB per cell


Entry Q
# NaMgFeO2 | the Materials Project database | PBE with a Hubbard U | relaxed
data_NaMgFeO2
_space_group_name_H-M_alt 'P 1'
_space_group_IT_number 1
_space_group_name_Hall 'P 1'
_cell_length_a 3.187
_cell_length_b 3.187
_cell_length_c 8.170
_cell_angle_alpha 80.35
_cell_angle_beta 80.35
_cell_angle_gamma 60.08
loop_
_atom_site_label
_atom_site_type_symbol
_atom_site_fract_x
_atom_site_fract_y
_atom_site_fract_z
_atom_site_occupancy
Na1 Na 0.531 0.531 0.413 1
Mg1 Mg 0.107 0.107 0.719 1
Fe1 Fe 0.953 0.953 0.100 1
O1 O 0.255 0.255 0.214 1
O2 O 0.800 0.800 0.626 1
# Symmetry ... No. 8
# Magnetic moment ... 3.84 μB per cell


entry Q has the most favorable energy; the next structure is 0.574 eV/atom above.